Record 1
C: optimized geometry, PBE-GGA.

Computed properties:
* formation energy: 994.3 meV/atom
* polymorph energy (0 for the lowest one): 994 meV/atom

Unit cell a=10.6813 b=10.7477 c=10.4272 alpha=95.12 beta=86.77 gamma=89.89
Sites, in units of the cell vectors:
1 C 0.7022 0.5892 0.0718
2 C 0.7675 0.9167 0.8982
3 C 0.5208 0.6077 0.7693
4 C 0.0197 0.6600 0.2219
5 C 0.0204 0.5167 0.5439
6 C 0.1135 0.5332 0.4481
7 C 0.7820 0.4273 0.3612
8 C 0.1150 0.0849 0.8519
9 C 0.3544 0.2738 0.6879
10 C 0.1326 0.9714 0.8292
11 C 0.4064 0.5657 0.8500
12 C 0.0191 0.4159 0.7529
13 C 0.3639 0.6083 0.0807
14 C 0.4594 0.0469 0.5058
15 C 0.7618 0.0398 0.8684
16 C 0.7205 0.3357 0.2890
17 C 0.1443 0.7466 0.0481
18 C 0.2311 0.8039 0.9583
19 C 0.0901 0.5040 0.6702
20 C 0.1091 0.9762 0.1095
21 C 0.2283 0.6821 0.6558
22 C 0.7765 0.3633 0.7858
23 C 0.7050 0.2557 0.7932
24 C 0.4070 0.1920 0.2182
25 C 0.0233 0.1980 0.6462
26 C 0.9416 0.7040 0.8742
27 C 0.8963 0.4988 0.3497
28 C 0.1928 0.2841 0.9387
29 C 0.7567 0.8754 0.0196
30 C 0.5505 0.5191 0.4434
31 C 0.4508 0.4615 0.3787
32 C 0.5251 0.6052 0.9223
33 C 0.2848 0.2924 0.0377
34 C 0.0631 0.7303 0.8137
35 C 0.5744 0.5599 0.0453
36 C 0.9687 0.7781 0.2672
37 C 0.7372 0.8057 0.1092
38 C 0.7517 0.1418 0.8266
39 C 0.4727 0.9837 0.1143
40 C 0.9623 0.5604 0.2661
41 C 0.7896 0.0346 0.3729
42 C 0.6541 0.6824 0.2940
43 C 0.4670 0.5525 0.1350
44 C 0.7550 0.8131 0.7949
45 C 0.5794 0.0172 0.4720
46 C 0.4018 0.6665 0.9631
47 C 0.2753 0.3493 0.5186
48 C 0.9138 0.6519 0.9858
49 C 0.6360 0.4925 0.5537
50 C 0.1998 0.5279 0.3656
51 C 0.1082 0.8694 0.0220
52 C 0.9395 0.8841 0.3098
53 C 0.3682 0.3539 0.4162
54 C 0.0190 0.0805 0.4166
55 C 0.1098 0.2165 0.8622
56 C 0.3963 0.2276 0.3585
57 C 0.2735 0.3879 0.9460
58 C 0.8201 0.7037 0.8146
59 C 0.9012 0.5050 0.4965
60 C 0.2519 0.0489 0.4151
61 C 0.2836 0.5363 0.2620
62 C 0.1377 0.6637 0.1387
63 C 0.7036 0.7013 0.1700
64 C 0.2659 0.9296 0.4407
65 C 0.3238 0.4578 0.8498
66 C 0.2742 0.7491 0.5751
67 C 0.0118 0.1390 0.5420
68 C 0.5764 0.2535 0.7703
69 C 0.5463 0.8547 0.6534
70 C 0.7706 0.5785 0.8436
71 C 0.6076 0.1206 0.2706
72 C 0.5005 0.0876 0.1914
73 C 0.6597 0.2386 0.2695
74 C 0.0297 0.2758 0.7658
75 C 0.5404 0.7352 0.7139
76 C 0.6447 0.8083 0.7242
77 C 0.1234 0.6421 0.7273
78 C 0.2889 0.8286 0.4866
79 C 0.1343 0.0698 0.3462
80 C 0.1317 0.0281 0.2154
81 C 0.2515 0.5992 0.1532
82 C 0.8017 0.5831 0.9783
83 C 0.4139 0.5093 0.2580
84 C 0.3143 0.2315 0.5677
85 C 0.7639 0.4645 0.4961
86 C 0.4254 0.8969 0.0429
87 C 0.6171 0.5175 0.6871
88 C 0.6045 0.6143 0.3714
89 C 0.1303 0.8476 0.8730
90 C 0.5217 0.9501 0.5732
91 C 0.6665 0.0470 0.3686
92 C 0.2237 0.4358 0.6302
93 C 0.9123 0.3630 0.7900
94 C 0.3584 0.1347 0.4625
95 C 0.7178 0.4842 0.7687
96 C 0.3654 0.8042 0.9753
97 C 0.3431 0.2455 0.1301
98 C 0.2952 0.3977 0.7250
99 C 0.4670 0.2435 0.7400
100 C 0.9106 0.0071 0.3642



Record 2
C: optimized geometry, PBE-GGA.

Computed properties:
* formation energy: 438.4 meV/atom
* polymorph energy (0 for the lowest one): 438 meV/atom

Unit cell a=4.1373 b=4.1373 c=2.5120 alpha=90.00 beta=90.00 gamma=141.89
Sites, in units of the cell vectors:
1 C 0.6894 0.3106 0.5000
2 C 0.5859 0.4141 0.0000
3 C 0.3106 0.6894 0.5000
4 C 0.4141 0.5859 0.0000



Record 3
C: optimized geometry, PBE-GGA.

Computed properties:
* formation energy: 138.3 meV/atom
* polymorph energy (0 for the lowest one): 138 meV/atom

Unit cell a=2.5270 b=2.5270 c=2.5270 alpha=60.00 beta=60.00 gamma=60.00
Sites, in units of the cell vectors:
1 C 0.2500 0.2500 0.2500
2 C 0.0000 0.0000 0.0000



Record 4
C: optimized geometry, PBE-GGA.

Computed properties:
* formation energy: 765.2 meV/atom
* polymorph energy (0 for the lowest one): 765 meV/atom

Unit cell a=5.2174 b=5.2174 c=5.2174 alpha=90.00 beta=90.00 gamma=90.00
Sites, in units of the cell vectors:
1 C 0.5000 0.1515 0.8485
2 C 0.1515 0.1515 0.5000
3 C 0.1515 0.5000 0.8485
4 C 0.5000 0.8485 0.1515
5 C 0.1515 0.8485 0.5000
6 C 0.1515 0.5000 0.1515
7 C 0.5000 0.1515 0.1515
8 C 0.8485 0.1515 0.5000
9 C 0.8485 0.5000 0.1515
10 C 0.5000 0.8485 0.8485
11 C 0.8485 0.8485 0.5000
12 C 0.8485 0.5000 0.8485
13 C 0.2624 0.2624 0.7376
14 C 0.2624 0.7376 0.2624
15 C 0.7376 0.2624 0.2624
16 C 0.7376 0.7376 0.7376
17 C 0.7376 0.7376 0.2624
18 C 0.7376 0.2624 0.7376
19 C 0.2624 0.7376 0.7376
20 C 0.2624 0.2624 0.2624



Record 5
C: optimized geometry, PBE-GGA.

Computed properties:
* formation energy: 765.5 meV/atom
* polymorph energy (0 for the lowest one): 766 meV/atom

Unit cell a=4.2235 b=4.2235 c=4.2235 alpha=109.47 beta=109.47 gamma=109.47
Sites, in units of the cell vectors:
1 C 0.3252 0.0000 0.0000
2 C 0.6748 0.6748 0.6748
3 C 0.0000 0.3252 0.0000
4 C 0.0000 0.0000 0.3252
5 C 0.0000 0.6748 0.0000
6 C 0.3252 0.3252 0.3252
7 C 0.6748 0.0000 0.0000
8 C 0.0000 0.0000 0.6748



Record 6
C: optimized geometry, PBE-GGA.

Computed properties:
* formation energy: 8.2 meV/atom
* polymorph energy (0 for the lowest one): 8 meV/atom

Unit cell a=2.4678 b=2.4678 c=8.0283 alpha=90.00 beta=90.00 gamma=120.01
Sites, in units of the cell vectors:
1 C 0.5834 0.4166 0.7601
2 C 0.0834 0.9166 0.2399
3 C 0.4166 0.5834 0.2399
4 C 0.9166 0.0834 0.7601



Record 7
C: optimized geometry, PBE-GGA.

Computed properties:
* formation energy: 117.9 meV/atom
* polymorph energy (0 for the lowest one): 118 meV/atom

Unit cell a=14.7770 b=14.7770 c=7.4967 alpha=89.99 beta=89.99 gamma=60.32
Sites, in units of the cell vectors:
1 C 0.0562 0.2213 0.4942
2 C 0.2222 0.7226 0.4960
3 C 0.7219 0.0547 0.4963
4 C 0.2213 0.0562 0.4942
5 C 0.7226 0.2222 0.4960
6 C 0.0547 0.7219 0.4963
7 C 0.0002 0.1660 0.4917
8 C 0.1660 0.8335 0.4930
9 C 0.8329 0.9990 0.4937
10 C 0.1660 0.0002 0.4917
11 C 0.8335 0.1660 0.4930
12 C 0.9990 0.8329 0.4937
13 C 0.5003 0.1670 0.4949
14 C 0.1672 0.3334 0.4942
15 C 0.3343 0.5008 0.4947
16 C 0.1670 0.5003 0.4949
17 C 0.3334 0.1672 0.4942
18 C 0.5008 0.3343 0.4947
19 C 0.0567 0.3880 0.5003
20 C 0.3898 0.5566 0.5005
21 C 0.5555 0.0561 0.5006
22 C 0.3880 0.0567 0.5003
23 C 0.5566 0.3898 0.5005
24 C 0.0561 0.5555 0.5006
25 C 0.0018 0.3317 0.5010
26 C 0.3336 0.6675 0.5016
27 C 0.6661 0.9988 0.5018
28 C 0.3317 0.0018 0.5010
29 C 0.6675 0.3336 0.5016
30 C 0.9988 0.6661 0.5018
31 C 0.8915 0.3860 0.5081
32 C 0.3890 0.7238 0.5079
33 C 0.7213 0.8866 0.5071
34 C 0.3860 0.8915 0.5081
35 C 0.7238 0.3890 0.5079
36 C 0.8866 0.7213 0.5071
37 C 0.8368 0.4969 0.5155
38 C 0.5018 0.6689 0.5153
39 C 0.6648 0.8298 0.5131
40 C 0.4969 0.8368 0.5155
41 C 0.6689 0.5018 0.5153
42 C 0.8298 0.6648 0.5131
43 C 0.8893 0.2212 0.4956
44 C 0.2212 0.8893 0.4956
45 C 0.8880 0.8880 0.4966
46 C 0.8345 0.3322 0.5046
47 C 0.3322 0.8345 0.5046
48 C 0.8319 0.8319 0.5041
49 C 0.7299 0.5498 0.5199
50 C 0.5498 0.7299 0.5199
51 C 0.7195 0.7195 0.5158
52 C 0.6667 0.1663 0.4948
53 C 0.1668 0.1668 0.4927
54 C 0.1663 0.6667 0.4948
55 C 0.5561 0.2227 0.4941
56 C 0.2224 0.2224 0.4929
57 C 0.2227 0.5561 0.4941
58 C 0.3892 0.2228 0.4926
59 C 0.2228 0.3892 0.4926
60 C 0.3897 0.3897 0.4926
61 C 0.3339 0.3339 0.4910
62 C 0.0006 0.4995 0.5050
63 C 0.5017 0.5017 0.5051
64 C 0.4995 0.0006 0.5050
65 C 0.8914 0.5534 0.5126
66 C 0.5570 0.5570 0.5133
67 C 0.5534 0.8914 0.5126
68 C 0.0548 0.8885 0.4898
69 C 0.8885 0.0548 0.4898
70 C 0.0552 0.0552 0.4884
71 C 0.9995 0.9995 0.4879



Record 8
C: optimized geometry, PBE-GGA.

Computed properties:
* formation energy: 177.6 meV/atom
* polymorph energy (0 for the lowest one): 178 meV/atom

Unit cell a=10.6655 b=10.4914 c=2.4638 alpha=90.00 beta=90.00 gamma=120.10
Sites, in units of the cell vectors:
1 C 0.8748 0.6811 0.2500
2 C 0.7608 0.8702 0.2500
3 C 0.6280 0.8735 0.2500
4 C 0.2061 0.5501 0.2500
5 C 0.1302 0.2530 0.2500
6 C 0.1886 0.1562 0.2500
7 C 0.4477 0.1493 0.2500
8 C 0.6026 0.2389 0.2500
9 C 0.8357 0.5289 0.2500
10 C 0.3253 0.6985 0.2500
11 C 0.3974 0.7611 0.7500
12 C 0.8698 0.7470 0.7500
13 C 0.2392 0.1298 0.7500
14 C 0.3720 0.1265 0.7500
15 C 0.8114 0.8438 0.7500
16 C 0.1643 0.4711 0.7500
17 C 0.6747 0.3015 0.7500
18 C 0.7939 0.4499 0.7500
19 C 0.1252 0.3189 0.7500
20 C 0.5523 0.8507 0.7500



Look up the formation energy of the second one. 438.4 meV/atom



Among the records above, which one has the lowest polymorph energy (0 for the lowest one)? number 6



What is the formula in the second record? C



Look up the polymorph energy (0 for the lowest one) of the eighth one. 178 meV/atom